1.
# Fe4O5F3

Crystalline Fe4O5F3 at its relaxed geometry (PBE with a Hubbard U, the Materials Project database).

The structure in CIF format:
```
data_Fe4O5F3
_chemical_formula_sum 'Fe8 O10 F6'
_cell_length_a 4.705
_cell_length_b 5.610
_cell_length_c 10.296
_cell_angle_alpha 96.26
_cell_angle_beta 90.54
_cell_angle_gamma 91.80
_symmetry_space_group_name_H-M 'P -1'
_symmetry_Int_Tables_number 2
loop_
_symmetry_equiv_pos_as_xyz
'x,y,z'
'-x,-y,-z'
loop_
_atom_site_label
_atom_site_fract_x
_atom_site_fract_y
_atom_site_fract_z
Fe1 0.000 0.000 0.000
Fe2 0.000 0.500 0.500
Fe3 0.027 0.248 0.740
Fe4 0.444 0.762 0.756
Fe5 0.500 0.000 0.500
Fe6 0.500 0.500 0.000
O1 0.187 0.524 0.668
O2 0.194 0.263 0.919
O3 0.196 0.773 0.428
O4 0.297 0.771 0.930
O5 0.312 0.023 0.666
F1 0.203 0.028 0.182
F2 0.308 0.275 0.418
F3 0.308 0.514 0.178
```

Energy with MP2020 corrections   -7.232 eV/atom
Offset from the most stable computed form   0.003 eV per atom
Raw total energy   -6.08 eV per atom

---

2.
# BaLa4TiCr4O15

Crystalline BaLa4TiCr4O15 at its relaxed geometry (PBE with a Hubbard U, the Materials Project database).

The structure in CIF format:
```
data_BaLa4TiCr4O15
_chemical_formula_sum 'Ba2 La8 Ti2 Cr8 O30'
_cell_length_a 5.601
_cell_length_b 27.767
_cell_length_c 3.955
_cell_angle_alpha 90.00
_cell_angle_beta 90.00
_cell_angle_gamma 90.00
_symmetry_space_group_name_H-M 'C m m m'
_symmetry_Int_Tables_number 65
_symmetry_space_group_name_Hall '-C 2 2'
loop_
_atom_site_label
_atom_site_fract_x
_atom_site_fract_y
_atom_site_fract_z
Ba1 0.000 0.000 0.000
La1 0.000 0.199 0.000
La2 0.000 0.397 0.000
Ti1 0.000 0.500 0.500
Cr1 0.000 0.100 0.500
Cr2 0.000 0.299 0.500
O1 0.000 0.105 0.000
O2 0.000 0.301 0.000
O3 0.000 0.500 0.000
O4 0.236 0.448 0.500
O5 0.249 0.350 0.500
O6 0.250 0.250 0.500
```

Energy with MP2020 corrections   -8.894 eV/atom
Offset from the most stable computed form   0.029 eV per atom
Raw total energy   -8.16 eV per atom

---

3.
# MgCo6O8F4

Crystalline MgCo6O8F4 at its relaxed geometry (PBE with a Hubbard U, the Materials Project database).

The structure in CIF format:
```
data_MgCo6O8F4
_chemical_formula_sum 'Mg1 Co6 O8 F4'
_cell_length_a 5.071
_cell_length_b 5.079
_cell_length_c 8.569
_cell_angle_alpha 87.63
_cell_angle_beta 87.57
_cell_angle_gamma 76.78
_symmetry_space_group_name_H-M 'P 1'
_symmetry_Int_Tables_number 1
loop_
_symmetry_equiv_pos_as_xyz
'x,y,z'
loop_
_atom_site_label
_atom_site_fract_x
_atom_site_fract_y
_atom_site_fract_z
Mg1 0.000 0.000 0.000
Co1 0.019 0.438 0.632
Co2 0.055 0.477 0.328
Co3 0.080 0.484 0.993
Co4 0.475 0.885 0.171
Co5 0.530 0.948 0.818
Co6 0.603 0.023 0.488
O1 0.215 0.685 0.163
O2 0.343 0.139 0.990
O3 0.366 0.167 0.328
O4 0.373 0.176 0.653
O5 0.735 0.774 0.990
O6 0.740 0.777 0.330
O7 0.745 0.785 0.651
O8 0.868 0.280 0.485
F1 0.218 0.725 0.832
F2 0.222 0.646 0.498
F3 0.878 0.280 0.154
F4 0.880 0.281 0.830
```

Energy with MP2020 corrections   -6.375 eV/atom
Offset from the most stable computed form   0.045 eV per atom
Raw total energy   -5.47 eV per atom

---

Let's list ΔH_f (0 K) in order: -1868.3 -3198.7 -1559.6 meV/atom.